# 1
Compound: Ba2GdWO6
Source: the Materials Project database
Functional: PBE with a Hubbard U
Structure: relaxed

Structure (extended XYZ):
```
10
Lattice="3.4949 4.7716 1.3361 -2.4890 5.0378 2.2788 0.9794 1.5143 5.7892" Properties=species:S:1:pos:R:3 pbc="T T T"
Ba 0.4963 2.8309 2.3510
Ba 1.4890 8.4927 7.0531
Gd 0.0000 0.0000 0.0000
W 0.9926 5.6618 4.7021
O 2.1633 5.2453 3.1273
O -0.1780 6.0783 6.2768
O 2.6215 5.9538 5.8357
O -0.6362 5.3699 3.5684
O 0.9988 7.6022 4.1935
O 0.9865 3.7215 5.2107
```

# 2
Compound: Ba2MnGe2O7
Source: the Materials Project database
Functional: PBE with a Hubbard U
Structure: relaxed

Structure (extended XYZ):
```
48
Lattice="8.6229 0.0000 0.0000 0.0000 8.6229 0.0000 0.0000 0.0000 11.2315" Properties=species:S:1:pos:R:3 pbc="T T T"
Ba 2.8841 1.4273 2.8524
Ba 2.8841 1.4273 8.4682
Ba 1.4273 5.7388 2.7633
Ba 1.4273 5.7387 8.3791
Ba 5.7387 7.1956 2.8524
Ba 5.7387 7.1957 8.4682
Ba 7.1956 2.8841 2.7633
Ba 7.1956 2.8841 8.3791
Mn 4.3105 4.3113 5.6160
Mn 0.0002 8.6223 0.0006
Mn 4.3118 4.3123 11.2313
Mn 0.0008 0.0001 5.6154
Ge 1.2013 3.1102 5.3580
Ge 1.2012 3.1102 10.9738
Ge 3.1101 7.4216 0.2577
Ge 3.1101 7.4216 5.8735
Ge 7.4216 5.5127 5.3580
Ge 7.4216 5.5127 10.9737
Ge 5.5127 1.2012 0.2577
Ge 5.5127 1.2013 5.8735
O 4.3114 8.6229 0.9299
O 4.3114 0.0000 6.5457
O 8.6229 4.3114 4.6858
O 0.0000 4.3114 10.3016
O 1.2005 3.1109 1.4876
O 1.2005 3.1109 7.1034
O 3.1108 7.4223 4.1281
O 3.1108 7.4223 9.7439
O 7.4223 5.5120 1.4876
O 7.4223 5.5120 7.1034
O 5.5120 1.2005 4.1281
O 5.5120 1.2006 9.7439
O 2.6830 3.6351 4.5214
O 2.6829 3.6351 10.1372
O 1.6284 7.9466 1.0943
O 1.6284 7.9466 6.7101
O 5.9399 4.9878 4.5214
O 5.9399 4.9878 10.1372
O 6.9945 0.6763 1.0943
O 6.9944 0.6763 6.7101
O 4.9878 2.6829 1.0943
O 4.9878 2.6830 6.7100
O 7.9465 6.9944 4.5214
O 7.9465 6.9945 10.1372
O 3.6350 5.9399 1.0943
O 3.6351 5.9398 6.7100
O 0.6763 1.6285 4.5214
O 0.6763 1.6284 10.1372
```

# 3
Compound: KBaV5H4O14
Source: the Materials Project database
Functional: PBE with a Hubbard U
Structure: relaxed

Structure (extended XYZ):
```
100
Lattice="16.8109 0.0000 0.0000 0.0000 9.4414 0.0000 0.0000 5.4134 9.4637" Properties=species:S:1:pos:R:3 pbc="T T T"
K 9.8459 8.6934 2.1151
K 6.9650 6.1615 7.3486
K 1.4404 3.4548 2.6167
K 15.3704 11.4001 6.8469
Ba 14.8162 3.2601 0.5037
Ba 1.9946 11.5948 8.9600
Ba 6.4108 8.8881 4.2281
Ba 10.4001 5.9668 5.2355
V 13.5544 7.4710 3.5274
V 3.2565 7.3838 5.9363
V 5.1490 4.6771 1.2044
V 11.6619 10.1778 8.2592
V 15.7807 6.5799 1.5794
V 1.0302 8.2750 7.8843
V 7.3752 5.5683 3.1524
V 9.4356 9.2866 6.3113
V 7.0139 7.0646 0.3919
V 9.7970 7.7902 9.0718
V 15.4193 5.0835 4.3399
V 1.3915 9.7714 5.1237
V 16.0138 9.3942 2.9324
V 0.7971 5.4606 6.5313
V 7.6084 2.7539 1.7995
V 9.2025 12.1010 7.6642
V 9.5686 5.2052 1.0457
V 7.2423 9.6496 8.4180
V 1.1632 6.9429 3.6862
V 15.6477 7.9120 5.7775
H 6.6124 12.1213 5.3003
H 10.1985 2.7336 4.1634
H 15.0178 5.4403 8.8952
H 1.7931 9.4146 0.5684
H 4.1174 8.1132 2.0604
H 12.6935 6.7416 7.4033
H 12.5229 4.0349 2.6714
H 4.2880 10.8200 6.7923
H 12.3134 8.1576 0.1320
H 4.4974 6.6972 9.3317
H 3.9080 3.9905 4.5999
H 12.9029 10.8643 4.8638
H 12.2285 10.5333 1.9295
H 4.5824 4.3216 7.5341
H 3.8231 1.6149 2.8023
H 12.9878 13.2400 6.6614
O 10.0081 0.8291 0.1010
O 6.8028 14.0257 9.3627
O 1.6026 11.3190 4.6308
O 15.2082 3.5359 4.8329
O 16.1559 8.3655 1.3984
O 0.6550 6.4894 8.0652
O 7.7504 3.7827 3.3334
O 9.0604 11.0722 6.1303
O 15.9784 5.9499 0.0289
O 0.8325 8.9049 9.4348
O 7.5730 6.1982 4.7030
O 9.2379 8.6567 4.7607
O 15.6500 4.8756 2.5044
O 1.1608 9.9792 6.9593
O 7.2446 7.2725 2.2275
O 9.5663 7.5823 7.2362
O 14.2230 9.1712 3.0709
O 2.5879 5.6837 6.3927
O 5.8175 2.9770 1.6609
O 10.9933 11.8779 7.8028
O 9.4022 5.7645 2.6980
O 7.4087 9.0904 6.7657
O 0.9967 6.3836 2.0339
O 15.8142 8.4712 7.4298
O 9.0463 6.8813 0.1863
O 7.7646 7.9735 9.2773
O 0.6408 5.2668 4.5455
O 16.1700 9.5881 4.9182
O 11.9024 7.6244 3.5377
O 4.9084 7.2305 5.9260
O 3.4970 4.5238 1.1941
O 13.3139 10.3311 8.2696
O 11.2409 5.3298 0.6700
O 5.5700 9.5251 8.7937
O 2.8354 6.8184 4.0619
O 13.9754 8.0365 5.4018
O 5.2987 6.4203 0.4972
O 11.5122 8.4346 8.9665
O 13.7041 5.7279 4.2347
O 3.1067 9.1270 5.2290
O 9.5226 3.3218 1.3696
O 7.2883 11.5330 8.0940
O 1.1172 8.8263 3.3622
O 15.6937 6.0286 6.1015
O 14.0067 6.8469 1.8336
O 2.8042 8.0080 7.6301
O 5.6013 5.3013 2.8983
O 11.2096 9.5536 6.5654
O 15.9095 7.2125 3.7592
O 0.9014 7.6423 5.7045
O 7.5041 4.9356 0.9726
O 9.3068 9.9193 8.4910
O 16.1607 1.4983 2.3230
O 0.6501 13.3566 7.1406
O 7.7553 10.6498 2.4088
O 9.0556 4.2050 7.0549
```

| no. | E (eV per cell) | ΔH_f (0 K) (eV per formula unit) |
| --- | --- | --- |
| 1 | -82.42 | -30.42 |
| 2 | -327.19 | -31.39 |
| 3 | -618.07 | -41.34 |